Here is an optimized crystal structure of CoH4SeO5 from the Materials Project database. Energies are from PBE+U. Values from VASP.

Quantum ESPRESSO input file:
```
&SYSTEM
  ibrav = 0, nat = 44, ntyp = 4
/
ATOMIC_SPECIES
O 16.00 O.upf
Co 58.93 Co.upf
H 1.01 H.upf
Se 78.96 Se.upf
ATOMIC_POSITIONS crystal
O 0.927 0.646 0.069
O 0.182 0.172 0.268
O 0.329 0.410 0.466
O 0.682 0.328 0.768
O 0.961 0.294 0.499
O 0.427 0.854 0.569
O 0.039 0.706 0.501
O 0.539 0.794 0.001
O 0.115 0.064 0.706
O 0.885 0.936 0.294
O 0.171 0.910 0.034
O 0.461 0.206 0.999
O 0.573 0.146 0.431
O 0.818 0.828 0.732
O 0.829 0.090 0.966
O 0.671 0.590 0.534
O 0.318 0.672 0.232
O 0.615 0.436 0.206
O 0.073 0.354 0.931
O 0.385 0.564 0.794
Co 0.847 0.866 0.019
Co 0.653 0.366 0.481
Co 0.347 0.634 0.519
Co 0.153 0.134 0.981
H 0.506 0.514 0.200
H 0.569 0.861 0.638
H 0.832 0.577 0.116
H 0.931 0.361 0.862
H 0.168 0.423 0.884
H 0.006 0.986 0.700
H 0.431 0.139 0.362
H 0.994 0.014 0.300
H 0.559 0.352 0.127
H 0.494 0.486 0.800
H 0.059 0.148 0.627
H 0.941 0.852 0.373
H 0.332 0.923 0.616
H 0.069 0.639 0.138
H 0.441 0.648 0.873
H 0.668 0.077 0.384
Se 0.397 0.844 0.162
Se 0.103 0.344 0.338
Se 0.603 0.156 0.838
Se 0.897 0.656 0.662
CELL_PARAMETERS angstrom
6.470 0.000 -1.020
0.000 8.938 0.000
0.004 0.000 7.772
```

ΔE to the lowest computed polymorph (meV/atom): 0
SG: P2_1/c, No. 14
ΔH_f (0 K) (eV per atom): -1.287



Here is an optimized crystal structure of Li4VP2O9 from the Materials Project database. Energies are from PBE+U. Values from VASP.

Quantum ESPRESSO input file:
```
&SYSTEM
  ibrav = 0, nat = 32, ntyp = 4
/
ATOMIC_SPECIES
Li 6.94 Li.upf
O 16.00 O.upf
P 30.97 P.upf
V 50.94 V.upf
ATOMIC_POSITIONS crystal
Li 0.500 0.000 0.000
Li 0.750 0.750 0.500
Li 0.000 0.500 0.000
Li 0.615 0.385 0.772
Li 0.885 0.115 0.772
Li 0.385 0.615 0.228
Li 0.250 0.250 0.500
Li 0.115 0.885 0.228
O 0.960 0.655 0.682
O 0.857 0.143 0.026
O 0.540 0.845 0.682
O 0.155 0.460 0.682
O 0.345 0.040 0.682
O 0.460 0.155 0.318
O 0.143 0.857 0.974
O 0.250 0.750 0.402
O 0.655 0.960 0.318
O 0.489 0.511 0.717
O 0.011 0.989 0.717
O 0.511 0.489 0.283
O 0.989 0.011 0.283
O 0.845 0.540 0.318
O 0.040 0.345 0.318
O 0.357 0.643 0.974
O 0.643 0.357 0.026
O 0.750 0.250 0.598
P 0.612 0.388 0.229
P 0.112 0.888 0.771
P 0.388 0.612 0.771
P 0.888 0.112 0.229
V 0.000 0.500 0.500
V 0.500 0.000 0.500
CELL_PARAMETERS angstrom
-5.416 2.473 5.454
1.363 -7.357 -3.034
4.744 -1.308 5.304
```

ΔE to the lowest computed polymorph (meV/atom): 11
SG: Cmme, No. 67
ΔH_f (0 K) (eV per atom): -2.627



Here is an optimized crystal structure of KLiDy2Mo4O16 from the Materials Project database. Energies are from PBE+U. Values from VASP.

Quantum ESPRESSO input file:
```
&SYSTEM
  ibrav = 0, nat = 48, ntyp = 5
/
ATOMIC_SPECIES
Dy 162.50 Dy.upf
O 16.00 O.upf
Li 6.94 Li.upf
Mo 95.94 Mo.upf
K 39.10 K.upf
ATOMIC_POSITIONS crystal
Dy 0.354 0.648 0.532
Dy 0.352 0.646 0.968
Dy 0.648 0.354 0.032
Dy 0.646 0.352 0.468
O 0.902 0.600 0.368
O 0.029 0.435 0.786
O 0.334 0.994 0.958
O 0.490 0.768 0.173
O 0.239 0.279 0.037
O 0.800 0.983 0.330
O 0.600 0.902 0.868
O 0.721 0.761 0.463
O 0.761 0.721 0.963
O 0.510 0.232 0.827
O 0.813 0.721 0.101
O 0.187 0.279 0.899
O 0.721 0.813 0.601
O 0.563 0.083 0.566
O 0.400 0.098 0.132
O 0.098 0.400 0.632
O 0.565 0.971 0.714
O 0.983 0.800 0.830
O 0.232 0.510 0.327
O 0.768 0.490 0.673
O 0.083 0.563 0.066
O 0.006 0.666 0.542
O 0.435 0.029 0.286
O 0.279 0.239 0.537
O 0.917 0.437 0.934
O 0.437 0.917 0.434
O 0.017 0.200 0.170
O 0.200 0.017 0.670
O 0.994 0.334 0.458
O 0.666 0.006 0.042
O 0.971 0.565 0.214
O 0.279 0.187 0.399
Li 0.813 0.187 0.250
Li 0.187 0.813 0.750
Mo 0.232 0.747 0.148
Mo 0.768 0.253 0.852
Mo 0.957 0.082 0.408
Mo 0.043 0.918 0.592
Mo 0.918 0.043 0.092
Mo 0.082 0.957 0.908
Mo 0.253 0.768 0.352
Mo 0.747 0.232 0.648
K 0.469 0.531 0.750
K 0.531 0.469 0.250
CELL_PARAMETERS angstrom
6.384 2.638 0.000
-6.384 2.638 0.000
0.000 1.088 19.612
```

SG: C2/c, No. 15
ΔH_f (0 K) (eV per atom): -2.530



Here is an optimized crystal structure of Tl2VF6 from the Materials Project database. Energies are from PBE+U. Values from VASP.

Quantum ESPRESSO input file:
```
&SYSTEM
  ibrav = 0, nat = 9, ntyp = 3
/
ATOMIC_SPECIES
Tl 204.38 Tl.upf
F 19.00 F.upf
V 50.94 V.upf
ATOMIC_POSITIONS crystal
Tl 0.250 0.250 0.250
Tl 0.750 0.750 0.750
F 0.782 0.218 0.218
F 0.782 0.782 0.218
F 0.782 0.218 0.782
F 0.218 0.782 0.218
F 0.218 0.782 0.782
F 0.218 0.218 0.782
V 0.000 0.000 0.000
CELL_PARAMETERS angstrom
-3.567 -3.432 3.606
-0.689 1.459 5.907
-5.350 2.204 2.005
```

SG: Fm-3m, No. 225
ΔH_f (0 K) (eV per atom): -2.590